# RbFe3P3O8F6

Crystalline RbFe3P3O8F6 at its relaxed geometry (PBE+U, the Materials Project database).

Lattice parameters (Å, degrees): 10.9755 10.9755 7.9101 77.91 77.91 40.52
Fractional positions:
1 O 0.7528 0.7088 0.4289
2 O 0.5760 0.0463 0.2402
3 O 0.6006 0.1135 0.9133
4 O 0.9228 0.9633 0.2083
5 O 0.0367 0.0772 0.2917
6 O 0.3994 0.8865 0.0867
7 O 0.9633 0.9228 0.7083
8 O 0.7088 0.7528 0.9289
9 O 0.9537 0.4240 0.2598
10 O 0.2912 0.2472 0.0711
11 O 0.2472 0.2912 0.5711
12 O 0.8865 0.3994 0.5867
13 O 0.0772 0.0367 0.7917
14 O 0.1135 0.6006 0.4133
15 O 0.4240 0.9537 0.7598
16 O 0.0463 0.5760 0.7402
17 Fe 0.1379 0.1868 0.6968
18 Fe 0.8132 0.8621 0.8032
19 Fe 0.1868 0.1379 0.1968
20 Fe 0.8621 0.8132 0.3032
21 Fe 0.0000 0.5000 0.0000
22 Fe 0.5000 0.0000 0.5000
23 F 0.5940 0.6342 0.8939
24 F 0.3658 0.4060 0.6061
25 F 0.4060 0.3658 0.1061
26 F 0.7159 0.2324 0.3987
27 F 0.7087 0.9538 0.5573
28 F 0.7676 0.2841 0.1013
29 F 0.9538 0.7087 0.0573
30 F 0.0462 0.2913 0.9427
31 F 0.6342 0.5940 0.3939
32 F 0.2841 0.7676 0.6013
33 F 0.2913 0.0462 0.4427
34 F 0.2324 0.7159 0.8987
35 P 0.4730 0.1795 0.0793
36 P 0.8820 0.1180 0.2500
37 P 0.8205 0.5270 0.4207
38 P 0.5270 0.8205 0.9207
39 P 0.1795 0.4730 0.5793
40 P 0.1180 0.8820 0.7500
41 Rb 0.6481 0.3519 0.7500
42 Rb 0.3519 0.6481 0.2500

SG   C2/c
Energy with MP2020 corrections   -297.9 eV per cell
Formation energy from the elements   -2.63 eV per atom

***

# Li4V2Si4O13

Crystalline Li4V2Si4O13 at its relaxed geometry (PBE+U, the Materials Project database).

Lattice parameters (Å, degrees): 5.0294 13.8133 14.1557 90.00 90.00 90.00
Fractional positions:
1 O 0.4727 0.1840 0.5248
2 O 0.1736 0.7848 0.3417
3 O 0.8314 0.5936 0.7094
4 O 0.2823 0.5326 0.8869
5 O 0.4378 0.5643 0.5210
6 O 0.5622 0.4357 0.0210
7 O 0.7177 0.4674 0.3869
8 O 0.2262 0.9632 0.7083
9 O 0.9727 0.3160 0.0248
10 O 0.0622 0.0643 0.5210
11 O 0.8720 0.4267 0.8381
12 O 0.2738 0.4632 0.7083
13 O 0.7409 0.2824 0.6605
14 O 0.6280 0.9267 0.8381
15 O 0.0548 0.7174 0.9857
16 O 0.3720 0.0733 0.3381
17 O 0.9378 0.9357 0.0210
18 O 0.0132 0.8745 0.5254
19 O 0.2591 0.7176 0.1605
20 O 0.6410 0.6567 0.3471
21 O 0.3314 0.9064 0.2094
22 O 0.3406 0.6777 0.7023
23 O 0.7262 0.5368 0.2083
24 O 0.7591 0.7824 0.6605
25 O 0.4868 0.3745 0.5254
26 O 0.1280 0.5733 0.3381
27 O 0.3264 0.2848 0.3417
28 O 0.1410 0.8433 0.8471
29 O 0.0273 0.6840 0.5248
30 O 0.3590 0.3433 0.8471
31 O 0.4233 0.0254 0.0613
32 O 0.5132 0.6255 0.0254
33 O 0.6686 0.0936 0.7094
34 O 0.8264 0.2152 0.8417
35 O 0.1686 0.4064 0.2094
36 O 0.5273 0.8160 0.0248
37 O 0.4452 0.2174 0.9857
38 O 0.1594 0.1777 0.7023
39 O 0.8406 0.8223 0.2023
40 O 0.9233 0.4746 0.5613
41 O 0.8590 0.1567 0.3471
42 O 0.7738 0.0368 0.2083
43 O 0.6736 0.7152 0.8417
44 O 0.2409 0.2176 0.1605
45 O 0.0767 0.5254 0.0613
46 O 0.9452 0.2826 0.4857
47 O 0.5548 0.7826 0.4857
48 O 0.7823 0.9674 0.3869
49 O 0.6594 0.3223 0.2023
50 O 0.9868 0.1255 0.0254
51 O 0.2177 0.0326 0.8869
52 O 0.5767 0.9746 0.5613
53 Si 0.3501 0.5221 0.0016
54 Si 0.1499 0.0221 0.0016
55 Si 0.1707 0.2256 0.0460
56 Si 0.1552 0.8102 0.2287
57 Si 0.6499 0.4779 0.5016
58 Si 0.6707 0.2744 0.5460
59 Si 0.3106 0.9387 0.8175
60 Si 0.8448 0.1898 0.7287
61 Si 0.8293 0.7744 0.5460
62 Si 0.3448 0.3102 0.2287
63 Si 0.6894 0.0613 0.3175
64 Si 0.3293 0.7256 0.0460
65 Si 0.1894 0.4387 0.8175
66 Si 0.6552 0.6898 0.7287
67 Si 0.8106 0.5613 0.3175
68 Si 0.8501 0.9779 0.5016
69 Li 0.6829 0.4587 0.7188
70 Li 0.7490 0.7905 0.3375
71 Li 0.8373 0.6003 0.9161
72 Li 0.3522 0.8596 0.6104
73 Li 0.7510 0.2905 0.3375
74 Li 0.2490 0.7095 0.8375
75 Li 0.1829 0.0413 0.2188
76 Li 0.1627 0.3997 0.4161
77 Li 0.6478 0.1404 0.1104
78 Li 0.2510 0.2095 0.8375
79 Li 0.1478 0.3596 0.6104
80 Li 0.8171 0.9587 0.7188
81 Li 0.8522 0.6404 0.1104
82 Li 0.3373 0.8997 0.4161
83 Li 0.6627 0.1003 0.9161
84 Li 0.3171 0.5413 0.2188
85 V 0.3538 0.0791 0.6262
86 V 0.6826 0.3279 0.9214
87 V 0.3174 0.6721 0.4214
88 V 0.1462 0.5791 0.6262
89 V 0.1826 0.1721 0.4214
90 V 0.8174 0.8279 0.9214
91 V 0.8538 0.4209 0.1262
92 V 0.6462 0.9209 0.1262

SG   Pna2_1
Energy with MP2020 corrections   -712.3 eV per cell
Formation energy from the elements   -2.88 eV per atom

***

# Li12V3NiP4C4O28

Crystalline Li12V3NiP4C4O28 at its relaxed geometry (PBE+U, the Materials Project database).

Lattice parameters (Å, degrees): 6.5935 8.4518 9.9781 84.71 90.00 90.00
Fractional positions:
1 O 0.5000 0.1132 0.6786
2 O 0.0000 0.8862 0.8216
3 O 0.3143 0.3079 0.4130
4 O 0.5000 0.9268 0.5291
5 O 0.0000 0.8945 0.3201
6 O 0.5000 0.8521 0.2492
7 O 0.5000 0.5781 0.4094
8 O 0.5000 0.4294 0.7029
9 O 0.0000 0.4217 0.0883
10 O 0.6857 0.3079 0.4130
11 O 0.0000 0.5674 0.7939
12 O 0.5000 0.8522 0.7489
13 O 0.5000 0.5776 0.9098
14 O 0.8176 0.6924 0.0891
15 O 0.0000 0.5635 0.2990
16 O 0.0000 0.4203 0.5854
17 O 0.0000 0.1579 0.2560
18 O 0.1824 0.6924 0.0891
19 O 0.0000 0.1471 0.7518
20 O 0.5000 0.9267 0.0291
21 O 0.5000 0.4294 0.2027
22 O 0.3172 0.3061 0.9140
23 O 0.0000 0.0762 0.4742
24 O 0.6828 0.3061 0.9140
25 O 0.1827 0.6924 0.5842
26 O 0.0000 0.0720 0.9718
27 O 0.8173 0.6924 0.5842
28 O 0.5000 0.1129 0.1789
29 Li 0.0000 0.9017 0.1167
30 Li 0.7252 0.2781 0.6221
31 Li 0.5000 0.0963 0.8835
32 Li 0.7770 0.7217 0.3753
33 Li 0.2232 0.7207 0.8754
34 Li 0.5000 0.0954 0.3830
35 Li 0.2748 0.2781 0.6221
36 Li 0.7236 0.2789 0.1255
37 Li 0.2764 0.2789 0.1255
38 Li 0.2230 0.7217 0.3753
39 Li 0.0000 0.9031 0.6170
40 Li 0.7768 0.7207 0.8754
41 C 0.0000 0.0402 0.3506
42 C 0.5000 0.9662 0.6518
43 C 0.5000 0.9659 0.1521
44 C 0.0000 0.0328 0.8487
45 P 0.5000 0.4098 0.8601
46 P 0.0000 0.5881 0.6367
47 P 0.5000 0.4105 0.3599
48 P 0.0000 0.5873 0.1412
49 V 0.0000 0.3273 0.8959
50 V 0.5000 0.6713 0.1040
51 V 0.5000 0.6713 0.6034
52 Ni 0.0000 0.3313 0.3971

SG   Pm
Energy with MP2020 corrections   -377.5 eV per cell
Formation energy from the elements   -2.39 eV per atom

***

# Li3Mn2P2C2O14

Crystalline Li3Mn2P2C2O14 at its relaxed geometry (PBE+U, the Materials Project database).

Lattice parameters (Å, degrees): 6.4793 8.2966 10.1013 85.70 89.81 89.52
Fractional positions:
1 O 0.2314 0.1652 0.7640
2 O 0.2271 0.9030 0.3279
3 O 0.4377 0.6744 0.5981
4 O 0.7636 0.4578 0.7083
5 O 0.4374 0.6857 0.0900
6 O 0.7734 0.8267 0.2398
7 O 0.9324 0.3029 0.4018
8 O 0.2629 0.0998 0.9752
9 O 0.0624 0.6749 0.0781
10 O 0.2241 0.4158 0.5751
11 O 0.7445 0.8295 0.7343
12 O 0.7428 0.4604 0.2073
13 O 0.0602 0.6916 0.5911
14 O 0.7278 0.0910 0.1814
15 O 0.2364 0.5465 0.7936
16 O 0.2414 0.0984 0.4732
17 O 0.7452 0.5901 0.9215
18 O 0.2732 0.4119 0.0749
19 O 0.7709 0.5809 0.4262
20 O 0.2468 0.8991 0.8355
21 O 0.2723 0.1670 0.2621
22 O 0.5622 0.3205 0.9084
23 O 0.7438 0.9007 0.0288
24 O 0.7513 0.9143 0.5234
25 O 0.5645 0.3148 0.4026
26 O 0.7769 0.0974 0.6772
27 O 0.9401 0.3191 0.9091
28 O 0.2324 0.5433 0.2876
29 P 0.7516 0.4205 0.3604
30 P 0.7521 0.4204 0.8615
31 P 0.2519 0.5782 0.1342
32 P 0.2431 0.5800 0.6373
33 Li 0.4787 0.7439 0.8744
34 Li 0.7411 0.0976 0.3836
35 Li 0.9701 0.2698 0.6334
36 Li 0.0531 0.7255 0.3806
37 Li 0.5343 0.2633 0.1152
38 Li 0.0218 0.7389 0.8745
39 Mn 0.7504 0.6684 0.1043
40 Mn 0.7439 0.6705 0.5976
41 Mn 0.2521 0.3285 0.3971
42 Mn 0.2464 0.3299 0.8986
43 C 0.7582 0.9574 0.6454
44 C 0.2465 0.0455 0.3535
45 C 0.2468 0.0464 0.8574
46 C 0.7487 0.9489 0.1493

SG   P1
Energy with MP2020 corrections   -349.0 eV per cell
Energy above the lowest structure with this stoichiometry   11.6 meV per atom
Formation energy from the elements   -2.26 eV per atom